VASP calculation (GGA-PBE) on an optimized crystal structure of ZrGaAu.

CIF file:
```
data_ZrGaAu
_space_group_name_H-M_alt 'P -6 m 2'
_space_group_IT_number 187
_space_group_name_Hall 'P -6 2'
_cell_length_a 4.3992
_cell_length_b 4.3992
_cell_length_c 6.7797
_cell_angle_alpha 90.00
_cell_angle_beta 90.00
_cell_angle_gamma 120.00
loop_
_atom_site_label
_atom_site_type_symbol
_atom_site_fract_x
_atom_site_fract_y
_atom_site_fract_z
_atom_site_occupancy
Zr1 Zr 0.0000 0.0000 0.0000 1
Zr2 Zr 0.0000 0.0000 0.5000 1
Ga1 Ga 0.6667 0.3333 0.2151 1
Au1 Au 0.3333 0.6667 0.2850 1
```

**Energy relative to the elements**: -0.60 eV per atom

=====

VASP calculation (GGA-PBE) on an optimized crystal structure of Gd3Au.

CIF file:
```
data_Gd3Au
_space_group_name_H-M_alt 'P m -3 m'
_space_group_IT_number 221
_space_group_name_Hall '-P 4 2 3'
_cell_length_a 4.8024
_cell_length_b 4.8024
_cell_length_c 4.8024
_cell_angle_alpha 90.00
_cell_angle_beta 90.00
_cell_angle_gamma 90.00
loop_
_atom_site_label
_atom_site_type_symbol
_atom_site_fract_x
_atom_site_fract_y
_atom_site_fract_z
_atom_site_occupancy
Gd1 Gd 0.0000 0.0000 0.5000 1
Au1 Au 0.5000 0.5000 0.5000 1
```

**Energy relative to the elements**: -0.28 eV per atom

=====

VASP calculation (GGA-PBE) on an optimized crystal structure of GdInAu.

CIF file:
```
data_GdInAu
_space_group_name_H-M_alt 'P -6 2 m'
_space_group_IT_number 189
_space_group_name_Hall 'P -6 -2'
_cell_length_a 7.8060
_cell_length_b 7.8060
_cell_length_c 4.0638
_cell_angle_alpha 90.00
_cell_angle_beta 90.00
_cell_angle_gamma 120.00
loop_
_atom_site_label
_atom_site_type_symbol
_atom_site_fract_x
_atom_site_fract_y
_atom_site_fract_z
_atom_site_occupancy
Gd1 Gd 0.0000 0.4081 0.0000 1
In1 In 0.0000 0.7428 0.5000 1
Au1 Au 0.0000 0.0000 0.0000 1
Au2 Au 0.3333 0.6667 0.5000 1
```

**Energy relative to the elements**: -0.74 eV per atom

=====

VASP calculation (GGA-PBE) on an optimized crystal structure of Gd2IrAu.

CIF file:
```
data_Gd2IrAu
_space_group_name_H-M_alt 'F m -3 m'
_space_group_IT_number 225
_space_group_name_Hall '-F 4 2 3'
_cell_length_a 7.0991
_cell_length_b 7.0991
_cell_length_c 7.0991
_cell_angle_alpha 90.00
_cell_angle_beta 90.00
_cell_angle_gamma 90.00
loop_
_atom_site_label
_atom_site_type_symbol
_atom_site_fract_x
_atom_site_fract_y
_atom_site_fract_z
_atom_site_occupancy
Gd1 Gd 0.2500 0.2500 0.2500 1
Ir1 Ir 0.0000 0.0000 0.0000 1
Au1 Au 0.0000 0.0000 0.5000 1
```

**Energy relative to the elements**: -0.78 eV per atom

=====

VASP calculation (GGA-PBE) on an optimized crystal structure of GdMgAu2.

CIF file:
```
data_GdMgAu2
_space_group_name_H-M_alt 'F m -3 m'
_space_group_IT_number 225
_space_group_name_Hall '-F 4 2 3'
_cell_length_a 7.0064
_cell_length_b 7.0064
_cell_length_c 7.0064
_cell_angle_alpha 90.00
_cell_angle_beta 90.00
_cell_angle_gamma 90.00
loop_
_atom_site_label
_atom_site_type_symbol
_atom_site_fract_x
_atom_site_fract_y
_atom_site_fract_z
_atom_site_occupancy
Gd1 Gd 0.0000 0.0000 0.0000 1
Mg1 Mg 0.0000 0.0000 0.5000 1
Au1 Au 0.2500 0.2500 0.2500 1
```

**Energy relative to the elements**: 0.52 eV per atom

=====

VASP calculation (GGA-PBE) on an optimized crystal structure of GdMgAu.

CIF file:
```
data_GdMgAu
_space_group_name_H-M_alt 'P -6 2 m'
_space_group_IT_number 189
_space_group_name_Hall 'P -6 -2'
_cell_length_a 7.6617
_cell_length_b 7.6617
_cell_length_c 4.1669
_cell_angle_alpha 90.00
_cell_angle_beta 90.00
_cell_angle_gamma 120.00
loop_
_atom_site_label
_atom_site_type_symbol
_atom_site_fract_x
_atom_site_fract_y
_atom_site_fract_z
_atom_site_occupancy
Gd1 Gd 0.0000 0.4123 0.0000 1
Mg1 Mg 0.0000 0.7542 0.5000 1
Au1 Au 0.0000 0.0000 0.0000 1
Au2 Au 0.3333 0.6667 0.5000 1
```

**Energy relative to the elements**: -0.68 eV per atom